Entry 1:
ZrHg3S2Br6 PBE-GGA relaxed; total energy = -36.6 eV per formula unit; energy relative to the elements = -25.57 kcal/mol of atoms; M_tot = 0.00 μB/f.u.; V = 749 Å³ per cell
1.0
-4.531 -3.616 -5.013
-4.418 -1.823 5.309
-7.297 11.450 -1.665
Br Zr Hg S
12 2 6 4
direct
0.850 0.680 0.060
0.350 0.320 0.440
0.949 0.148 0.172
0.051 0.852 0.828
0.449 0.852 0.328
0.551 0.148 0.672
0.799 0.134 0.434
0.150 0.320 0.940
0.701 0.134 0.934
0.299 0.866 0.066
0.201 0.866 0.566
0.650 0.680 0.560
0.500 0.000 0.500
0.000 0.000 0.000
0.795 0.492 0.759
0.000 0.500 0.500
0.705 0.492 0.259
0.205 0.508 0.241
0.500 0.500 0.000
0.295 0.508 0.741
0.461 0.362 0.168
0.539 0.638 0.832
0.961 0.638 0.332
0.039 0.362 0.668

Entry 2:
Hg7Sb4Br6 PBE-GGA relaxed; total energy = -33.0 eV per formula unit; energy relative to the elements = -10.50 kcal/mol of atoms; M_tot = 0.00 μB/f.u.; V = 4692 Å³ per cell
1.0
13.273 0.000 0.000
0.000 13.308 0.000
0.000 0.266 26.565
Sb Br Hg
32 48 56
direct
0.350 0.156 0.174
0.850 0.354 0.324
0.773 0.723 0.888
0.772 0.729 0.386
0.224 0.226 0.865
0.650 0.844 0.826
0.150 0.646 0.676
0.727 0.273 0.637
0.849 0.151 0.575
0.728 0.229 0.386
0.150 0.656 0.174
0.651 0.651 0.575
0.724 0.274 0.135
0.227 0.277 0.112
0.350 0.146 0.676
0.349 0.349 0.425
0.650 0.854 0.324
0.272 0.771 0.614
0.773 0.773 0.637
0.348 0.351 0.925
0.276 0.726 0.865
0.727 0.223 0.888
0.273 0.777 0.112
0.151 0.849 0.425
0.776 0.774 0.135
0.227 0.227 0.363
0.850 0.344 0.826
0.152 0.851 0.925
0.273 0.727 0.363
0.228 0.271 0.614
0.652 0.649 0.075
0.848 0.149 0.075
0.542 0.288 0.772
0.453 0.462 0.147
0.208 0.545 0.520
0.705 0.550 0.231
0.226 0.554 0.023
0.541 0.209 0.523
0.961 0.793 0.274
0.795 0.050 0.231
0.710 0.544 0.729
0.546 0.959 0.604
0.790 0.044 0.729
0.959 0.723 0.028
0.442 0.045 0.878
0.708 0.955 0.480
0.541 0.223 0.028
0.539 0.293 0.274
0.958 0.788 0.772
0.058 0.545 0.878
0.774 0.446 0.977
0.545 0.541 0.355
0.547 0.538 0.853
0.955 0.041 0.355
0.047 0.962 0.147
0.046 0.541 0.396
0.458 0.712 0.228
0.454 0.041 0.396
0.042 0.212 0.228
0.039 0.207 0.726
0.726 0.946 0.977
0.455 0.459 0.645
0.953 0.038 0.853
0.942 0.455 0.122
0.954 0.459 0.604
0.459 0.791 0.477
0.041 0.291 0.477
0.290 0.456 0.271
0.041 0.277 0.972
0.205 0.950 0.769
0.292 0.045 0.520
0.045 0.959 0.645
0.459 0.777 0.972
0.558 0.955 0.122
0.959 0.709 0.523
0.792 0.455 0.480
0.461 0.707 0.726
0.274 0.054 0.023
0.295 0.450 0.769
0.210 0.956 0.271
0.819 0.225 0.479
0.774 0.544 0.340
0.502 0.497 0.749
0.500 0.000 0.500
0.041 0.319 0.361
0.002 0.003 0.251
0.779 0.537 0.842
0.543 0.165 0.132
0.279 0.963 0.158
0.679 0.772 0.730
0.221 0.463 0.158
0.681 0.725 0.479
0.274 0.956 0.660
0.678 0.781 0.227
0.957 0.665 0.132
0.178 0.719 0.773
0.959 0.821 0.888
0.831 0.236 0.980
0.322 0.219 0.773
0.266 0.545 0.918
0.459 0.819 0.361
0.179 0.728 0.270
0.766 0.955 0.082
0.669 0.736 0.980
0.959 0.681 0.639
0.959 0.818 0.388
0.822 0.281 0.227
0.000 0.500 0.500
0.723 0.460 0.591
0.541 0.321 0.888
0.000 0.000 0.000
0.181 0.775 0.521
0.319 0.275 0.521
0.226 0.456 0.660
0.459 0.679 0.112
0.331 0.264 0.020
0.498 0.503 0.251
0.457 0.835 0.868
0.277 0.540 0.409
0.223 0.040 0.409
0.459 0.682 0.612
0.721 0.037 0.842
0.234 0.045 0.918
0.321 0.228 0.270
0.041 0.179 0.112
0.998 0.997 0.749
0.041 0.182 0.612
0.541 0.181 0.639
0.821 0.272 0.730
0.734 0.455 0.082
0.169 0.764 0.020
0.500 0.500 0.000
0.726 0.044 0.340
0.777 0.960 0.591
0.541 0.318 0.388
0.043 0.335 0.868

Entry 3:
Hg6Sb5Br7 PBE-GGA relaxed; total energy = -40.2 eV per formula unit; energy relative to the elements = -12.85 kcal/mol of atoms; V = 2389 Å³ per cell
1.0
13.369 0.000 0.000
0.000 13.369 0.000
0.000 0.000 13.369
Hg Sb Br
24 20 28
direct
0.299 0.052 0.686
0.686 0.201 0.552
0.448 0.186 0.299
0.948 0.186 0.201
0.799 0.448 0.314
0.701 0.948 0.314
0.799 0.052 0.814
0.314 0.799 0.448
0.052 0.814 0.799
0.552 0.686 0.201
0.552 0.814 0.701
0.448 0.314 0.799
0.186 0.299 0.448
0.186 0.201 0.948
0.814 0.701 0.552
0.314 0.701 0.948
0.701 0.552 0.814
0.814 0.799 0.052
0.201 0.552 0.686
0.686 0.299 0.052
0.948 0.314 0.701
0.052 0.686 0.299
0.201 0.948 0.186
0.299 0.448 0.186
0.636 0.364 0.864
0.000 0.000 0.500
0.762 0.262 0.238
0.238 0.762 0.262
0.364 0.636 0.136
0.262 0.238 0.762
0.136 0.136 0.136
0.238 0.738 0.762
0.000 0.500 0.000
0.762 0.238 0.738
0.500 0.000 0.000
0.262 0.262 0.262
0.864 0.864 0.864
0.500 0.500 0.500
0.136 0.364 0.636
0.738 0.738 0.738
0.738 0.762 0.238
0.364 0.864 0.636
0.636 0.136 0.364
0.864 0.636 0.364
0.550 0.703 0.456
0.544 0.050 0.797
0.500 0.000 0.500
0.500 0.500 0.000
0.297 0.544 0.450
0.956 0.550 0.797
0.550 0.797 0.956
0.797 0.544 0.050
0.797 0.956 0.550
0.703 0.044 0.050
0.544 0.450 0.297
0.050 0.703 0.044
0.956 0.950 0.297
0.000 0.000 0.000
0.203 0.044 0.450
0.297 0.956 0.950
0.950 0.203 0.456
0.044 0.450 0.203
0.456 0.950 0.203
0.050 0.797 0.544
0.000 0.500 0.500
0.456 0.550 0.703
0.203 0.456 0.950
0.950 0.297 0.956
0.450 0.203 0.044
0.703 0.456 0.550
0.450 0.297 0.544
0.044 0.050 0.703

Entry 4:
TlHg3Sb2Br3 PBE-GGA relaxed; total energy = -20.1 eV per formula unit; energy relative to the elements = -13.38 kcal/mol of atoms; M_tot = 0.00 μB/f.u.; V = 1233 Å³ per cell
1.0
6.764 0.000 0.000
0.000 13.485 0.000
0.000 0.000 13.518
Hg Tl Br Sb
12 4 12 8
direct
0.000 0.500 0.500
0.467 0.000 0.750
0.000 0.000 0.500
0.536 0.750 0.013
0.000 0.000 0.000
0.536 0.250 0.487
0.533 0.000 0.250
0.464 0.750 0.513
0.467 0.500 0.750
0.000 0.500 0.000
0.464 0.250 0.987
0.533 0.500 0.250
0.998 0.250 0.742
0.002 0.250 0.242
0.998 0.750 0.758
0.002 0.750 0.258
0.101 0.500 0.250
0.533 0.750 0.797
0.467 0.250 0.203
0.897 0.750 0.509
0.899 0.500 0.750
0.899 0.000 0.750
0.467 0.750 0.297
0.533 0.250 0.703
0.101 0.000 0.250
0.103 0.750 0.009
0.897 0.250 0.991
0.103 0.250 0.491
0.372 0.556 0.560
0.372 0.056 0.940
0.372 0.944 0.560
0.628 0.944 0.060
0.628 0.556 0.060
0.628 0.056 0.440
0.372 0.444 0.940
0.628 0.444 0.440

Q: Look up the energy relative to the elements of the fourth one.
A: -13.38 kcal/mol of atoms